# 1
Computed, not measured: a relaxed MgH2O2 crystal at the GGA-PBE level of DFT.

Values from the calculation:
VASP energy	-5.38	eV per atom
volume	85.2	Å³/cell
largest piezoelectric modulus	1.1	C/m²
mass density	2.27	g cm⁻³
E_form	-2.00	eV/atom

Lattice parameters (Å, degrees): 5.5154 3.1702 4.8903 90.00 94.95 90.00
With the nearest neighbours (Å) after each atom.
Space group C2 (No. 5)
Inequivalent atoms, fractional coordinates:
Mg: 0.0000 0.0000 0.0000  6 O 2.10-2.13
H: 0.1973 0.5792 0.4075  1 O 0.97
O: 0.1874 0.4983 0.2154  1 H 0.97

=====

# 2
Computed, not measured: a relaxed MgH2O2 crystal at the GGA-PBE level of DFT.

Values from the calculation:
VASP energy	-5.15	eV per atom
volume	45.8	Å³/cell
largest piezoelectric modulus	0.5	C/m²
mass density	2.12	g cm⁻³
E_form	-1.77	eV/atom

Lattice parameters (Å, degrees): 3.3954 3.3954 4.5854 90.00 90.00 120.00
With the nearest neighbours (Å) after each atom.
Space group P3m1 (No. 156)
Inequivalent atoms, fractional coordinates:
Mg: 0.0000 0.0000 0.0000  3 H 1.97, 3 O 2.11
H: 0.3333 0.6667 0.0477  1 O 0.99
H: 0.6667 0.3333 0.4452  1 O 0.98
O: 0.3333 0.6667 0.8308  1 H 0.99
O: 0.6667 0.3333 0.2319  1 H 0.98

=====

# 3
Computed, not measured: a relaxed Mg4H2O5 crystal at the GGA-PBE level of DFT.

Values from the calculation:
VASP energy	-5.70	eV per atom
volume	98.8	Å³/cell
mass density	3.01	g cm⁻³
E_form	-2.57	eV/atom

Lattice parameters (Å, degrees): 3.0590 3.0590 12.1899 90.00 90.00 120.00
With the nearest neighbours (Å) after each atom.
Space group P-3m1 (No. 164)
Inequivalent atoms, fractional coordinates:
Mg: 0.0000 0.0000 0.1985  6 O 2.06-2.15
Mg: 0.3333 0.6667 0.6002  6 O 2.15
H: 0.3333 0.6667 0.9685  1 O 0.97
O: 0.0000 0.0000 0.5000  6 Mg 2.15
O: 0.3333 0.6667 0.2994  6 Mg 2.15
O: 0.3333 0.6667 0.8890  1 H 0.97

=====

# 4
Computed, not measured: a relaxed Mg5H2O6 crystal at the GGA-PBE level of DFT.

Values from the calculation:
VASP energy	-5.74	eV per atom
volume	119.1	Å³/cell
mass density	3.06	g cm⁻³
E_form	-2.64	eV/atom

Lattice parameters (Å, degrees): 3.0473 3.0473 14.8121 90.00 90.00 120.00
With the nearest neighbours (Å) after each atom.
Space group P-3m1 (No. 164)
Inequivalent atoms, fractional coordinates:
Mg: 0.0000 0.0000 0.0000  6 O 2.14
Mg: 0.3333 0.6667 0.3312  6 O 2.06-2.15
Mg: 0.3333 0.6667 0.8346  6 O 2.14
H: 0.3333 0.6667 0.5312  1 O 0.97
O: 0.0000 0.0000 0.2482  6 Mg 2.14-2.15
O: 0.3333 0.6667 0.0827  6 Mg 2.14
O: 0.3333 0.6667 0.5966  1 H 0.97

=====

# 5
Computed, not measured: a relaxed Mg3H2O6 crystal at the GGA-PBE level of DFT.

Values from the calculation:
VASP energy	-5.19	eV per atom
volume	262.5	Å³/cell
mass density	2.16	g cm⁻³
E_form	-1.81	eV/atom

Lattice parameters (Å, degrees): 10.3757 3.1433 8.1148 90.00 97.31 90.00
With the nearest neighbours (Å) after each atom.
Space group C2/m (No. 12)
Inequivalent atoms, fractional coordinates:
Mg: 0.0000 0.0000 0.0000  4 O 1.88-1.99
Mg: 0.1594 0.5000 0.3667  5 O 2.03-2.15
H: 0.0800 0.0000 0.6020  1 O 0.98
O: 0.0042 0.0000 0.2325  1 O 1.57, 1 H 1.69
O: 0.1464 0.0000 0.1845  1 O 1.57
O: 0.1508 0.0000 0.5321  1 H 0.98

=====

# 6
Computed, not measured: a relaxed MgH2O2 crystal at the GGA-PBE level of DFT.

Values from the calculation:
VASP energy	-5.39	eV per atom
volume	42.0	Å³/cell
mass density	2.30	g cm⁻³
E_form	-2.01	eV/atom

Lattice parameters (Å, degrees): 3.1859 3.1859 4.7816 90.00 90.00 120.00
With the nearest neighbours (Å) after each atom.
Space group P-3m1 (No. 164)
Inequivalent atoms, fractional coordinates:
Mg: 0.0000 0.0000 0.0000  6 O 2.11
H: 0.3333 0.6667 0.5787  1 O 0.97
O: 0.3333 0.6667 0.7818  1 H 0.97

=====

# 7
Computed, not measured: a relaxed Mg3P2H44O30 crystal at the GGA-PBE level of DFT.

Values from the calculation:
VASP energy	-5.27	eV per atom
volume	674.3	Å³/cell
mass density	1.62	g cm⁻³
E_form	-1.56	eV/atom

Lattice parameters (Å, degrees): 6.9264 7.0204 15.9613 88.37 85.70 60.61
With the nearest neighbours (Å) after each atom.
Space group P-1 (No. 2)
Inequivalent atoms, fractional coordinates:
Mg: 0.0000 0.0000 0.0000  6 O 2.08-2.12
Mg: 0.2155 0.8907 0.3439  6 O 2.07-2.17
P: 0.0946 0.4453 0.7602  4 O 1.55-1.57
H: 0.0060 0.7827 0.4830  1 O 0.99
H: 0.0158 0.6714 0.3939  1 O 1.01
H: 0.0294 0.3277 0.3832  1 O 1.02
H: 0.1404 0.0395 0.7416  1 O 1.01
H: 0.1415 0.8094 0.7391  1 O 1.01
H: 0.2016 0.6415 0.8872  1 O 1.00
H: 0.2220 0.7173 0.1228  1 O 0.98
H: 0.2226 0.1427 0.8935  1 O 1.00
H: 0.2339 0.9236 0.1514  1 O 0.99
H: 0.2481 0.5610 0.9824  1 O 1.00
H: 0.2550 0.3738 0.1058  1 O 1.01
H: 0.2672 0.1817 0.4177  1 O 0.99
H: 0.2722 0.1769 0.9881  1 O 1.00
H: 0.2844 0.1617 0.2271  1 O 1.00
H: 0.2924 0.5221 0.2505  1 O 1.01
H: 0.3466 0.2945 0.6153  1 O 1.00
H: 0.3551 0.8506 0.6112  1 O 0.98
H: 0.4569 0.3933 0.3933  1 O 0.99
H: 0.4780 0.4670 0.7485  1 O 1.01
H: 0.4877 0.0743 0.7740  1 O 1.02
H: 0.4888 0.2661 0.0518  1 O 0.98
H: 0.4983 0.7551 0.4709  1 O 0.99
O: 0.0825 0.7435 0.4261  2 H 0.99-1.01
O: 0.0932 0.4447 0.6624  1 P 1.56, 3 H 1.58-1.67
O: 0.0992 0.9487 0.7072  2 H 1.01
O: 0.1245 0.1828 0.4123  2 H 0.99-1.02
O: 0.1526 0.4324 0.2025  1 P 1.57, 3 H 1.62-1.71
O: 0.1893 0.8641 0.1055  2 H 0.98-0.99
O: 0.2029 0.6910 0.9452  2 H 1.00
O: 0.2135 0.2049 0.7906  1 P 1.55, 3 H 1.66-1.70
O: 0.2163 0.5688 0.7860  1 P 1.56, 3 H 1.66-1.69
O: 0.2338 0.0874 0.9526  2 H 1.00
O: 0.3270 0.3449 0.0469  2 H 0.98-1.01
O: 0.3445 0.0011 0.2368  2 H 1.00-1.02
O: 0.3691 0.5885 0.2801  2 H 1.01
O: 0.4948 0.7494 0.5795  2 H 0.98-0.99
O: 0.4964 0.7832 0.4096  2 H 0.99-1.00

=====

# 8
Computed, not measured: a relaxed Mg2P2H12O13 crystal at the GGA-PBE level of DFT.

Values from the calculation:
VASP energy	-5.72	eV per atom
volume	1031.3	Å³/cell
mass density	2.13	g cm⁻³
E_form	-1.92	eV/atom

Lattice parameters (Å, degrees): 7.2788 18.4425 10.3409 90.00 132.02 90.00
With the nearest neighbours (Å) after each atom.
Space group P2_1/c (No. 14)
Inequivalent atoms, fractional coordinates:
Mg: 0.0000 0.0000 0.0000  6 O 2.05-2.16
Mg: 0.0000 0.0000 0.5000  6 O 2.09-2.16
Mg: 0.3274 0.2435 0.0243  6 O 2.08-2.13
P: 0.1536 0.1049 0.3214  4 O 1.52-1.65
P: 0.4987 0.0968 0.7011  4 O 1.52-1.64
H: 0.0471 0.6149 0.8586  1 O 0.99
H: 0.0598 0.2110 0.1045  1 O 0.99
H: 0.0674 0.6705 0.5714  1 O 1.00
H: 0.1849 0.7354 0.3382  1 O 0.99
H: 0.2155 0.5109 0.3796  1 O 1.00
H: 0.2675 0.1113 0.9003  1 O 0.99
H: 0.2990 0.1646 0.7925  1 O 1.01
H: 0.3000 0.5734 0.9664  1 O 0.98
H: 0.3209 0.6433 0.2178  1 O 0.98
H: 0.3594 0.7423 0.0360  1 O 0.98
H: 0.4186 0.1296 0.2246  1 O 0.99
H: 0.4236 0.0042 0.0864  1 O 1.00
O: 0.0215 0.2162 0.9933  2 H 0.99-1.00
O: 0.0467 0.5692 0.1892  1 P 1.54
O: 0.1293 0.1884 0.3087  1 P 1.54
O: 0.1547 0.5797 0.9542  2 H 0.98-0.99
O: 0.1821 0.0741 0.1992  1 P 1.52
O: 0.2206 0.1596 0.8434  2 H 0.99-1.01
O: 0.2220 0.5878 0.6624  1 P 1.52
O: 0.2650 0.0227 0.9741  2 H 1.00
O: 0.3474 0.7431 0.9358  2 H 0.98-0.99
O: 0.3585 0.0380 0.7109  1 P 1.54
O: 0.4109 0.1736 0.6948  1 P 1.54, 1 H 1.68
O: 0.4244 0.0856 0.5133  2 P 1.64-1.65
O: 0.4793 0.6665 0.2726  2 H 0.98-0.99